# Na10Ca4Sc4Si3S9O48 (PBE, optimized geometry)
# - Formation energy from the elements: -203.23 eV/f.u.
data_Na10Ca4Sc4Si3S9O48
_chemical_formula_sum 'Na30 Ca12 Sc12 Si9 S27 O144'
_symmetry_space_group_name_H-M 'P 1'
_symmetry_Int_Tables_number 1
_symmetry_space_group_name_Hall 'P 1'
_cell_length_a 9.2278
_cell_length_b 16.0175
_cell_length_c 22.9908
_cell_angle_alpha 89.20
_cell_angle_beta 89.98
_cell_angle_gamma 89.96
loop_
_atom_site_label
_atom_site_type_symbol
_atom_site_fract_x
_atom_site_fract_y
_atom_site_fract_z
Na1 Na 0.0000 0.0000 0.0000
Na2 Na 0.0012 0.3314 0.3358
Na3 Na 0.0144 0.3628 0.9942
Na4 Na 0.1469 0.8685 0.4976
Na5 Na 0.1707 0.1637 0.5137
Na6 Na 0.1784 0.4995 0.8466
Na7 Na 0.3005 0.6863 0.2560
Na8 Na 0.3091 0.0176 0.5900
Na9 Na 0.3105 0.3403 0.9151
Na10 Na 0.3344 0.6884 0.7546
Na11 Na 0.3568 0.3467 0.4215
Na12 Na 0.3596 0.0109 0.0922
Na13 Na 0.4792 0.5013 0.3483
Na14 Na 0.4845 0.1652 0.0110
Na15 Na 0.4876 0.8316 0.6809
Na16 Na 0.4982 0.5042 0.0014
Na17 Na 0.5013 0.8320 0.3353
Na18 Na 0.5134 0.8658 0.9946
Na19 Na 0.5171 0.5352 0.6620
Na20 Na 0.6462 0.6988 0.8247
Na21 Na 0.6520 0.3672 0.4978
Na22 Na 0.6808 0.6664 0.5197
Na23 Na 0.6852 0.9986 0.8464
Na24 Na 0.8009 0.1860 0.2569
Na25 Na 0.8275 0.8399 0.9175
Na26 Na 0.8321 0.5173 0.5926
Na27 Na 0.8509 0.1964 0.7575
Na28 Na 0.8557 0.8504 0.4242
Na29 Na 0.8734 0.5252 0.0890
Na30 Na 0.9784 0.0013 0.3495
Ca1 Ca 0.3225 0.6743 0.1091
Ca2 Ca 0.3256 0.3373 0.7739
Ca3 Ca 0.3282 0.6744 0.6063
Ca4 Ca 0.3310 0.0106 0.4384
Ca5 Ca 0.3335 0.0082 0.9352
Ca6 Ca 0.3412 0.3390 0.2715
Ca7 Ca 0.8256 0.1749 0.1094
Ca8 Ca 0.8309 0.5103 0.4384
Ca9 Ca 0.8333 0.8427 0.7696
Ca10 Ca 0.8344 0.1719 0.6086
Ca11 Ca 0.8401 0.5096 0.9391
Ca12 Ca 0.8412 0.8391 0.2720
Sc1 Sc 0.3234 0.6713 0.4059
Sc2 Sc 0.3226 0.6770 0.9054
Sc3 Sc 0.3274 0.3517 0.0740
Sc4 Sc 0.3277 0.0010 0.2398
Sc5 Sc 0.3312 0.0031 0.7430
Sc6 Sc 0.3309 0.3505 0.5703
Sc7 Sc 0.8231 0.1701 0.4063
Sc8 Sc 0.8275 0.5014 0.2396
Sc9 Sc 0.8287 0.8460 0.0732
Sc10 Sc 0.8290 0.8459 0.5748
Sc11 Sc 0.8327 0.1768 0.9019
Sc12 Sc 0.8355 0.5042 0.7380
Si1 Si 0.1854 0.8552 0.3441
Si2 Si 0.1856 0.5252 0.0058
Si3 Si 0.4786 0.5251 0.5070
Si4 Si 0.4797 0.8541 0.8425
Si5 Si 0.6846 0.0267 0.0043
Si6 Si 0.6857 0.3549 0.3443
Si7 Si 0.6855 0.6896 0.6739
Si8 Si 0.9759 0.0244 0.5046
Si9 Si 0.9759 0.3567 0.8430
S1 S 0.0286 0.0146 0.8405
S2 S 0.0301 0.3486 0.1741
S3 S 0.0297 0.6819 0.5059
S4 S 0.1274 0.1809 0.0071
S5 S 0.1288 0.5130 0.3364
S6 S 0.1354 0.8513 0.6712
S7 S 0.1725 0.1568 0.3384
S8 S 0.1719 0.8240 0.0062
S9 S 0.1755 0.4878 0.6737
S10 S 0.1911 0.1894 0.6707
S11 S 0.4702 0.1883 0.1703
S12 S 0.4880 0.8224 0.5043
S13 S 0.4888 0.1560 0.8403
S14 S 0.4926 0.4918 0.1734
S15 S 0.5298 0.5140 0.8400
S16 S 0.5306 0.1820 0.5073
S17 S 0.5306 0.8479 0.1738
S18 S 0.6247 0.6818 0.0063
S19 S 0.6260 0.3464 0.6717
S20 S 0.6282 0.0135 0.3361
S21 S 0.6683 0.9914 0.6752
S22 S 0.6722 0.6565 0.3386
S23 S 0.6727 0.3225 0.0060
S24 S 0.9696 0.6895 0.1728
S25 S 0.9862 0.6565 0.8373
S26 S 0.9872 0.3213 0.5041
S27 S 0.9925 0.9902 0.1724
O1 O 0.0090 0.1550 0.3392
O2 O 0.0092 0.8526 0.3375
O3 O 0.0097 0.8284 0.0117
O4 O 0.0116 0.5056 0.0070
O5 O 0.0139 0.4924 0.6742
O6 O 0.0311 0.1804 0.6705
O7 O 0.0316 0.1930 0.9553
O8 O 0.0340 0.5227 0.2845
O9 O 0.0417 0.1707 0.0600
O10 O 0.0439 0.8567 0.6175
O11 O 0.0445 0.5048 0.3897
O12 O 0.0486 0.8438 0.7235
O13 O 0.1024 0.0092 0.8971
O14 O 0.1132 0.3418 0.2283
O15 O 0.1125 0.6734 0.5593
O16 O 0.1285 0.6882 0.4540
O17 O 0.1288 0.6806 0.1707
O18 O 0.1307 0.3534 0.1223
O19 O 0.1347 0.0189 0.7917
O20 O 0.1495 0.6561 0.8417
O21 O 0.1504 0.3191 0.5111
O22 O 0.1530 0.3509 0.8373
O23 O 0.1548 0.0136 0.5041
O24 O 0.1552 0.9940 0.1745
O25 O 0.2074 0.7733 0.9542
O26 O 0.2146 0.9059 0.4036
O27 O 0.2159 0.2453 0.3307
O28 O 0.2182 0.4346 0.6228
O29 O 0.2199 0.1029 0.2898
O30 O 0.2202 0.4365 0.3317
O31 O 0.2210 0.1060 0.0006
O32 O 0.2224 0.2570 0.0105
O33 O 0.2231 0.9119 0.9991
O34 O 0.2269 0.9295 0.6733
O35 O 0.2284 0.5870 0.3387
O36 O 0.2306 0.1265 0.3942
O37 O 0.2317 0.2383 0.7206
O38 O 0.2327 0.4518 0.7277
O39 O 0.2375 0.5721 0.6673
O40 O 0.2374 0.7798 0.6680
O41 O 0.2384 0.5768 0.0604
O42 O 0.2423 0.2308 0.6149
O43 O 0.2417 0.7895 0.0582
O44 O 0.2552 0.5684 0.9451
O45 O 0.2608 0.1046 0.6742
O46 O 0.2664 0.9109 0.2895
O47 O 0.2693 0.4284 0.0111
O48 O 0.2715 0.7644 0.3448
O49 O 0.4005 0.1040 0.1723
O50 O 0.4052 0.4290 0.5110
O51 O 0.4051 0.7602 0.8443
O52 O 0.4123 0.5729 0.4478
O53 O 0.4124 0.9081 0.7847
O54 O 0.4204 0.2320 0.1154
O55 O 0.4245 0.7864 0.5576
O56 O 0.4280 0.2360 0.2212
O57 O 0.4300 0.1113 0.5019
O58 O 0.4301 0.4426 0.8346
O59 O 0.4332 0.7759 0.1693
O60 O 0.4336 0.9080 0.4981
O61 O 0.4350 0.1254 0.8971
O62 O 0.4352 0.5768 0.1690
O63 O 0.4355 0.4518 0.2263
O64 O 0.4403 0.2417 0.8322
O65 O 0.4405 0.0992 0.7928
O66 O 0.4414 0.5934 0.8403
O67 O 0.4421 0.2611 0.5083
O68 O 0.4432 0.9275 0.1738
O69 O 0.4499 0.5779 0.5651
O70 O 0.4500 0.7696 0.4529
O71 O 0.4530 0.4403 0.1208
O72 O 0.4529 0.9065 0.9011
O73 O 0.5044 0.9905 0.6756
O74 O 0.5066 0.6817 0.6715
O75 O 0.5079 0.0123 0.0036
O76 O 0.5094 0.3522 0.3373
O77 O 0.5086 0.6539 0.3401
O78 O 0.5103 0.3189 0.0137
O79 O 0.5307 0.6938 0.9531
O80 O 0.5318 0.3535 0.6177
O81 O 0.5328 0.0225 0.2844
O82 O 0.5356 0.6741 0.0584
O83 O 0.5372 0.3392 0.7230
O84 O 0.5444 0.0052 0.3896
O85 O 0.6101 0.5070 0.8950
O86 O 0.6138 0.8418 0.2279
O87 O 0.6159 0.1742 0.5604
O88 O 0.6284 0.1904 0.4550
O89 O 0.6294 0.5221 0.7890
O90 O 0.6299 0.1799 0.1710
O91 O 0.6301 0.8530 0.1219
O92 O 0.6506 0.8221 0.5077
O93 O 0.6519 0.1523 0.8400
O94 O 0.6549 0.4947 0.1756
O95 O 0.6563 0.5142 0.5054
O96 O 0.6575 0.8454 0.8385
O97 O 0.7063 0.2691 0.9550
O98 O 0.7107 0.4269 0.6730
O99 O 0.7113 0.7439 0.7325
O100 O 0.7115 0.9356 0.6261
O101 O 0.7124 0.4110 0.9972
O102 O 0.7134 0.4055 0.4042
O103 O 0.7129 0.6056 0.0004
O104 O 0.7140 0.7451 0.3307
O105 O 0.7148 0.0904 0.0561
O106 O 0.7185 0.6028 0.2897
O107 O 0.7176 0.7587 0.0096
O108 O 0.7202 0.0772 0.6674
O109 O 0.7199 0.9371 0.3314
O110 O 0.7222 0.9580 0.7306
O111 O 0.7263 0.0879 0.3380
O112 O 0.7263 0.2751 0.6673
O113 O 0.7315 0.6259 0.3940
O114 O 0.7492 0.2912 0.0577
O115 O 0.7491 0.7436 0.6157
O116 O 0.7558 0.5946 0.6772
O117 O 0.7607 0.0661 0.9441
O118 O 0.7645 0.9318 0.0147
O119 O 0.7664 0.4115 0.2901
O120 O 0.7713 0.2642 0.3451
O121 O 0.8973 0.2637 0.8455
O122 O 0.8993 0.6055 0.1730
O123 O 0.9039 0.9299 0.5126
O124 O 0.9069 0.4144 0.7885
O125 O 0.9127 0.0680 0.4421
O126 O 0.9154 0.2844 0.5552
O127 O 0.9151 0.7379 0.1207
O128 O 0.9214 0.6219 0.8905
O129 O 0.9278 0.6113 0.5008
O130 O 0.9318 0.9415 0.8352
O131 O 0.9330 0.2763 0.1693
O132 O 0.9333 0.7330 0.2262
O133 O 0.9341 0.0751 0.1676
O134 O 0.9342 0.7427 0.8311
O135 O 0.9373 0.0920 0.8378
O136 O 0.9366 0.9508 0.2256
O137 O 0.9383 0.4077 0.4978
O138 O 0.9432 0.4280 0.1740
O139 O 0.9436 0.7616 0.5062
O140 O 0.9486 0.0905 0.5553
O141 O 0.9505 0.6038 0.7866
O142 O 0.9527 0.4054 0.9040
O143 O 0.9526 0.9392 0.1199
O144 O 0.9568 0.2701 0.4512